Compound: SrP2O6
Source: the Materials Project
Functional: PBE
Structure: optimized geometry

Values from the calculation:
The space group is P2_1, No. 4. The value obtained for the total energy is -7.22 eV per atom. As for the formation energy: -2.986 eV/atom.

```
SrP2O6
1.0
7.496 0.000 0.000
0.000 18.889 0.000
-0.033 0.000 7.500
Sr P O
8 16 48
Direct
0.002 0.000 0.003
0.008 0.375 0.499
0.493 0.749 0.509
0.498 0.623 0.008
0.502 0.123 0.992
0.507 0.249 0.491
0.992 0.875 0.501
0.998 0.500 0.997
0.005 0.173 0.946
0.010 0.203 0.546
0.052 0.048 0.487
0.054 0.327 0.016
0.452 0.078 0.486
0.456 0.297 0.010
0.491 0.422 0.551
0.492 0.452 0.950
0.508 0.952 0.050
0.509 0.922 0.449
0.544 0.797 0.990
0.548 0.578 0.514
0.946 0.827 0.984
0.948 0.548 0.513
0.990 0.703 0.454
0.995 0.673 0.054
0.023 0.872 0.837
0.033 0.502 0.655
0.040 0.750 0.975
0.041 0.625 0.524
0.045 0.359 0.833
0.052 0.019 0.673
0.074 0.190 0.748
0.158 0.747 0.461
0.161 0.138 0.037
0.165 0.630 0.055
0.168 0.234 0.454
0.251 0.064 0.419
0.255 0.309 0.075
0.322 0.894 0.452
0.334 0.485 0.042
0.340 0.996 0.047
0.350 0.376 0.465
0.424 0.436 0.751
0.454 0.609 0.672
0.458 0.121 0.654
0.458 0.875 0.975
0.460 0.751 0.849
0.463 0.268 0.823
0.479 0.500 0.462
0.521 0.000 0.538
0.537 0.768 0.177
0.540 0.251 0.151
0.542 0.375 0.025
0.542 0.621 0.346
0.546 0.109 0.328
0.576 0.936 0.249
0.650 0.876 0.535
0.660 0.496 0.953
0.666 0.985 0.958
0.678 0.394 0.548
0.745 0.809 0.925
0.749 0.564 0.581
0.832 0.734 0.546
0.835 0.130 0.945
0.839 0.638 0.963
0.842 0.247 0.539
0.926 0.690 0.252
0.948 0.519 0.327
0.955 0.859 0.167
0.959 0.125 0.476
0.960 0.250 0.025
0.967 0.002 0.345
0.977 0.372 0.163
```

Compound: Sr2P6O17
Source: the Materials Project
Functional: PBE
Structure: optimized geometry

Values from the calculation:
The space group is P2_1, No. 4. The value obtained for the total energy is -7.18 eV per atom. As for the formation energy: -2.851 eV/atom.

```
Sr2P6O17
1.0
7.306 0.000 0.000
0.000 13.534 0.000
-1.947 0.000 7.084
Sr P O
4 12 34
Direct
0.185 0.000 0.375
0.217 0.283 0.676
0.783 0.783 0.324
0.815 0.500 0.625
0.010 0.219 0.099
0.239 0.540 0.028
0.266 0.511 0.451
0.320 0.733 0.499
0.330 0.032 0.883
0.343 0.818 0.883
0.657 0.318 0.117
0.670 0.532 0.117
0.680 0.233 0.501
0.734 0.011 0.549
0.761 0.040 0.972
0.990 0.719 0.901
0.080 0.177 0.294
0.109 0.450 0.488
0.128 0.813 0.889
0.138 0.251 0.985
0.139 0.475 0.871
0.153 0.646 0.033
0.168 0.808 0.417
0.212 0.626 0.464
0.237 0.021 0.039
0.247 0.495 0.226
0.251 0.094 0.712
0.353 0.923 0.788
0.368 0.740 0.733
0.450 0.562 0.024
0.466 0.489 0.555
0.481 0.806 0.068
0.495 0.231 0.547
0.505 0.731 0.453
0.519 0.306 0.932
0.534 0.989 0.445
0.550 0.062 0.976
0.632 0.240 0.267
0.647 0.423 0.212
0.749 0.594 0.288
0.753 0.995 0.774
0.763 0.521 0.961
0.788 0.126 0.536
0.832 0.308 0.583
0.847 0.146 0.967
0.861 0.975 0.129
0.862 0.751 0.015
0.872 0.313 0.111
0.891 0.950 0.512
0.920 0.677 0.706
```

Compound: Sr4Ta3PO14
Source: the Materials Project
Functional: PBE
Structure: optimized geometry

Values from the calculation:
The space group is Cm, No. 8. The value obtained for the total energy is -8.20 eV per atom. As for the formation energy: -3.319 eV/atom.

```
Sr4Ta3PO14
1.0
13.354 -1.977 0.000
13.354 1.977 0.000
-0.489 0.000 5.790
Sr Ta P O
4 3 1 14
Direct
0.000 0.000 0.000
0.591 0.591 0.554
0.719 0.719 0.912
0.839 0.839 0.456
0.228 0.228 0.411
0.339 0.339 0.951
0.449 0.449 0.488
0.118 0.118 0.050
0.085 0.085 0.817
0.087 0.087 0.261
0.177 0.177 0.608
0.178 0.178 0.107
0.278 0.278 0.141
0.283 0.283 0.653
0.382 0.382 0.227
0.385 0.385 0.712
0.492 0.492 0.252
0.498 0.498 0.732
0.626 0.626 0.013
0.733 0.733 0.386
0.830 0.830 0.932
0.936 0.936 0.486
```

Compound: Sr3Zn3TeP2O14
Source: the Materials Project
Functional: PBE
Structure: optimized geometry

Values from the calculation:
The space group is P321, No. 150. The value obtained for the total energy is -6.22 eV per atom. As for the formation energy: -2.639 eV/atom.

```
Sr3Zn3TeP2O14
1.0
8.419 0.000 0.000
-4.210 7.291 0.000
0.000 0.000 5.241
Sr Zn Te P O
3 3 1 2 14
Direct
0.000 0.570 0.000
0.430 0.430 0.000
0.570 0.000 0.000
0.000 0.239 0.500
0.239 0.000 0.500
0.761 0.761 0.500
0.000 0.000 0.000
0.333 0.667 0.454
0.667 0.333 0.546
0.092 0.871 0.791
0.129 0.221 0.791
0.175 0.486 0.337
0.221 0.129 0.209
0.311 0.825 0.337
0.333 0.667 0.749
0.486 0.175 0.663
0.514 0.689 0.337
0.667 0.333 0.251
0.689 0.514 0.663
0.779 0.908 0.791
0.825 0.311 0.663
0.871 0.092 0.209
0.908 0.779 0.209
```

Compound: Sr2Zn3Te2P2O14
Source: the Materials Project
Functional: PBE
Structure: optimized geometry

Values from the calculation:
The space group is P2_1/c, No. 14. The value obtained for the total energy is -6.08 eV per atom. As for the formation energy: -2.433 eV/atom.

```
Sr2Zn3Te2P2O14
1.0
5.295 0.000 0.000
0.000 7.980 0.000
-0.087 0.000 15.532
Sr Zn Te P O
4 6 4 4 28
Direct
0.001 0.052 0.203
0.001 0.448 0.703
0.999 0.552 0.297
0.999 0.948 0.797
0.492 0.108 0.617
0.492 0.392 0.117
0.500 0.000 0.000
0.500 0.500 0.500
0.508 0.608 0.883
0.508 0.892 0.383
0.014 0.228 0.492
0.014 0.272 0.992
0.986 0.728 0.008
0.986 0.772 0.508
0.454 0.235 0.807
0.454 0.265 0.307
0.546 0.735 0.693
0.546 0.765 0.193
0.205 0.102 0.054
0.205 0.398 0.554
0.212 0.049 0.540
0.212 0.451 0.040
0.247 0.740 0.425
0.247 0.760 0.925
0.260 0.738 0.710
0.260 0.762 0.210
0.300 0.183 0.724
0.300 0.317 0.224
0.342 0.090 0.331
0.342 0.410 0.831
0.382 0.107 0.878
0.382 0.393 0.378
0.618 0.607 0.622
0.618 0.893 0.122
0.658 0.590 0.169
0.658 0.910 0.669
0.700 0.683 0.776
0.700 0.817 0.276
0.740 0.238 0.790
0.740 0.262 0.290
0.753 0.240 0.075
0.753 0.260 0.575
0.788 0.549 0.960
0.788 0.951 0.460
0.795 0.602 0.446
0.795 0.898 0.946
```

Compound: SrTiP2O8
Source: the Materials Project
Functional: PBE
Structure: optimized geometry

Values from the calculation:
The space group is C2/m, No. 12. The value obtained for the total energy is -7.72 eV per atom. As for the formation energy: -3.176 eV/atom.

```
SrTiP2O8
1.0
4.079 -2.634 0.000
4.079 2.634 0.000
-0.419 0.000 7.444
Sr Ti P O
1 1 2 8
Direct
0.000 0.000 0.000
0.000 0.000 0.500
0.365 0.365 0.716
0.635 0.635 0.284
0.229 0.229 0.562
0.232 0.715 0.692
0.285 0.768 0.308
0.301 0.301 0.903
0.699 0.699 0.097
0.715 0.232 0.692
0.768 0.285 0.308
0.771 0.771 0.438
```

Compound: SrTiP2O8
Source: the Materials Project
Functional: PBE
Structure: optimized geometry

Values from the calculation:
The space group is C2/c, No. 15. The value obtained for the total energy is -7.72 eV per atom. As for the formation energy: -3.181 eV/atom.

```
SrTiP2O8
1.0
8.335 -2.619 0.000
8.335 2.619 0.000
-3.664 0.000 7.363
Sr Ti P O
2 2 4 16
Direct
0.193 0.807 0.750
0.807 0.193 0.250
0.000 0.500 0.500
0.500 0.000 0.000
0.119 0.597 0.244
0.403 0.881 0.256
0.597 0.119 0.744
0.881 0.403 0.756
0.051 0.516 0.308
0.127 0.201 0.896
0.173 0.730 0.396
0.201 0.127 0.396
0.270 0.827 0.104
0.334 0.373 0.645
0.373 0.334 0.145
0.484 0.949 0.192
0.516 0.051 0.808
0.627 0.666 0.855
0.666 0.627 0.355
0.730 0.173 0.896
0.799 0.873 0.604
0.827 0.270 0.604
0.873 0.799 0.104
0.949 0.484 0.692
```

Compound: SrTiP2O8
Source: the Materials Project
Functional: PBE
Structure: optimized geometry

Values from the calculation:
The space group is P-1, No. 2. The value obtained for the total energy is -7.62 eV per atom. As for the formation energy: -3.082 eV/atom.

```
SrTiP2O8
1.0
5.496 0.000 0.000
-1.072 7.150 0.000
-1.875 -3.237 8.431
Sr Ti P O
2 2 4 16
Direct
0.239 0.269 0.043
0.761 0.731 0.957
0.340 0.663 0.441
0.660 0.337 0.559
0.156 0.466 0.695
0.419 0.936 0.230
0.581 0.064 0.770
0.844 0.534 0.305
0.016 0.742 0.427
0.056 0.409 0.306
0.175 0.947 0.124
0.279 0.483 0.863
0.351 0.039 0.832
0.377 0.524 0.618
0.380 0.734 0.266
0.472 0.109 0.399
0.528 0.891 0.601
0.620 0.266 0.734
0.623 0.476 0.382
0.649 0.961 0.168
0.721 0.517 0.137
0.825 0.053 0.876
0.944 0.591 0.694
0.984 0.258 0.573
```

Compound: SrTi4P6O24
Source: the Materials Project
Functional: PBE
Structure: optimized geometry

Values from the calculation:
The space group is R-3, No. 148. The value obtained for the total energy is -7.91 eV per atom. As for the formation energy: -3.105 eV/atom.

```
SrTi4P6O24
1.0
4.240 2.448 7.592
-4.240 2.448 7.592
0.000 -4.896 7.592
Sr Ti P O
1 4 6 24
Direct
0.000 0.000 0.000
0.150 0.150 0.150
0.356 0.356 0.356
0.644 0.644 0.644
0.850 0.850 0.850
0.031 0.751 0.463
0.249 0.537 0.969
0.463 0.031 0.751
0.537 0.969 0.249
0.751 0.463 0.031
0.969 0.249 0.537
0.000 0.211 0.373
0.000 0.789 0.627
0.092 0.730 0.906
0.094 0.908 0.270
0.156 0.237 0.518
0.189 0.554 0.463
0.211 0.373 0.000
0.237 0.518 0.156
0.270 0.094 0.908
0.373 0.000 0.211
0.446 0.537 0.811
0.463 0.189 0.554
0.482 0.844 0.763
0.518 0.156 0.237
0.537 0.811 0.446
0.554 0.463 0.189
0.627 0.000 0.789
0.730 0.906 0.092
0.763 0.482 0.844
0.789 0.627 0.000
0.811 0.446 0.537
0.844 0.763 0.482
0.906 0.092 0.730
0.908 0.270 0.094
```

Compound: SrTl2P4O12
Source: the Materials Project
Functional: PBE
Structure: optimized geometry

Values from the calculation:
The space group is I-4, No. 82. For the piezoelectric modulus e_max, the calculation gives 0.4 C/m2. The value obtained for the total energy is -6.79 eV per atom. As for the formation energy: -2.617 eV/atom.

```
SrTl2P4O12
1.0
-3.832 3.832 5.197
3.832 -3.832 5.197
3.832 3.832 -5.197
Sr Tl P O
1 2 4 12
Direct
0.000 0.000 0.000
0.079 0.579 0.500
0.421 0.921 0.500
0.564 0.002 0.129
0.566 0.436 0.438
0.872 0.434 0.871
0.998 0.128 0.562
0.007 0.367 0.746
0.084 0.022 0.696
0.098 0.164 0.444
0.326 0.388 0.304
0.346 0.902 0.066
0.612 0.916 0.938
0.621 0.261 0.254
0.633 0.379 0.640
0.720 0.654 0.556
0.739 0.993 0.360
0.836 0.280 0.934
0.978 0.674 0.062
```

Compound: SrZr4P6O24
Source: the Materials Project
Functional: PBE
Structure: optimized geometry

Values from the calculation:
The space group is R-3, No. 148. The value obtained for the total energy is -8.13 eV per atom. As for the formation energy: -3.259 eV/atom.

```
SrZr4P6O24
1.0
4.429 2.557 7.872
-4.429 2.557 7.872
0.000 -5.114 7.872
Sr Zr P O
1 4 6 24
Direct
0.000 0.000 0.000
0.150 0.150 0.150
0.356 0.356 0.356
0.644 0.644 0.644
0.850 0.850 0.850
0.032 0.755 0.457
0.245 0.543 0.968
0.457 0.032 0.755
0.543 0.968 0.245
0.755 0.457 0.032
0.968 0.245 0.543
0.001 0.202 0.388
0.087 0.907 0.269
0.093 0.731 0.913
0.145 0.244 0.520
0.187 0.569 0.456
0.202 0.388 0.001
0.244 0.520 0.145
0.269 0.087 0.907
0.388 0.001 0.202
0.431 0.544 0.813
0.456 0.187 0.569
0.480 0.855 0.756
0.520 0.145 0.244
0.544 0.813 0.431
0.569 0.456 0.187
0.612 0.999 0.798
0.731 0.913 0.093
0.756 0.480 0.855
0.798 0.612 0.999
0.813 0.431 0.544
0.855 0.756 0.480
0.907 0.269 0.087
0.913 0.093 0.731
0.999 0.798 0.612
```

Q: What is the total energy in the seventh record?
A: -7.72 eV per atom

Q: Which value of total energy does entry 5 give?
A: -6.08 eV per atom

Q: Number 1 is which compound?
A: SrP2O6

Q: The lowest total energy belongs to which entry?
A: Sr4Ta3PO14